# 1
The following is a DFT calculation (GGA-PBE) of DyB4Os after structural relaxation.

```
data_DyB4Os
_cell_length_a 5.9733
_cell_length_b 11.5534
_cell_length_c 3.5713
_cell_angle_alpha 90.00
_cell_angle_beta 90.00
_cell_angle_gamma 90.00
_space_group_name_H-M_alt 'P 1'
_space_group_IT_number 1
loop_
_space_group_symop_operation_xyz
'x,y,z'
loop_
_atom_site_label
_atom_site_type_symbol
_atom_site_fract_x
_atom_site_fract_y
_atom_site_fract_z
Dy1 Dy 0.1280 0.1502 0.0000
Dy2 Dy 0.3720 0.6502 0.0000
Dy3 Dy 0.6280 0.3498 0.0000
Dy4 Dy 0.8720 0.8498 0.0000
B1 B 0.0253 0.6912 0.5000
B2 B 0.1126 0.5466 0.5000
B3 B 0.1363 0.9699 0.5000
B4 B 0.2114 0.8142 0.5000
B5 B 0.2885 0.3142 0.5000
B6 B 0.3637 0.4699 0.5000
B7 B 0.3874 0.0466 0.5000
B8 B 0.4747 0.1912 0.5000
B9 B 0.5253 0.8088 0.5000
B10 B 0.6126 0.9534 0.5000
B11 B 0.6363 0.5301 0.5000
B12 B 0.7114 0.6858 0.5000
B13 B 0.7886 0.1858 0.5000
B14 B 0.8637 0.0301 0.5000
B15 B 0.8874 0.4534 0.5000
B16 B 0.9747 0.3088 0.5000
Os1 Os 0.1411 0.4066 0.0000
Os2 Os 0.3589 0.9066 0.0000
Os3 Os 0.6411 0.0934 0.0000
Os4 Os 0.8589 0.5934 0.0000
```

Density, g cm⁻³: 10.672
Space-group type: Pbam (55)
Total energy, eV/f.u.: -46.047

# 2
The following is a DFT calculation (GGA-PBE) of Dy2ReB6 after structural relaxation.

```
data_Dy2ReB6
_cell_length_a 9.1840
_cell_length_b 11.5737
_cell_length_c 3.6794
_cell_angle_alpha 90.00
_cell_angle_beta 90.00
_cell_angle_gamma 90.00
_space_group_name_H-M_alt 'P 1'
_space_group_IT_number 1
loop_
_space_group_symop_operation_xyz
'x,y,z'
loop_
_atom_site_label
_atom_site_type_symbol
_atom_site_fract_x
_atom_site_fract_y
_atom_site_fract_z
Dy1 Dy 0.0561 0.1300 0.0000
Dy2 Dy 0.1756 0.4138 0.0000
Dy3 Dy 0.3244 0.9138 0.0000
Dy4 Dy 0.4439 0.6300 0.0000
Dy5 Dy 0.5561 0.3700 0.0000
Dy6 Dy 0.6756 0.0862 0.0000
Dy7 Dy 0.8244 0.5862 0.0000
Dy8 Dy 0.9439 0.8700 0.0000
Re1 Re 0.1389 0.6787 0.0000
Re2 Re 0.3611 0.1787 0.0000
Re3 Re 0.6389 0.8213 0.0000
Re4 Re 0.8611 0.3213 0.0000
B1 B 0.0165 0.2880 0.5000
B2 B 0.0536 0.5670 0.5000
B3 B 0.1016 0.9715 0.5000
B4 B 0.1321 0.8137 0.5000
B5 B 0.2071 0.2339 0.5000
B6 B 0.2504 0.0806 0.5000
B7 B 0.2496 0.5806 0.5000
B8 B 0.2929 0.7339 0.5000
B9 B 0.3679 0.3137 0.5000
B10 B 0.3984 0.4715 0.5000
B11 B 0.4464 0.0670 0.5000
B12 B 0.4835 0.7880 0.5000
B13 B 0.5165 0.2120 0.5000
B14 B 0.5536 0.9330 0.5000
B15 B 0.6016 0.5285 0.5000
B16 B 0.6321 0.6863 0.5000
B17 B 0.7071 0.2661 0.5000
B18 B 0.7504 0.4194 0.5000
B19 B 0.7496 0.9194 0.5000
B20 B 0.7929 0.7661 0.5000
B21 B 0.8679 0.1863 0.5000
B22 B 0.8984 0.0285 0.5000
B23 B 0.9464 0.4330 0.5000
B24 B 0.9835 0.7120 0.5000
```

Density, g cm⁻³: 9.784
Space-group type: Pbam (55)
Total energy, eV/f.u.: -67.377

# 3
The following is a DFT calculation (GGA-PBE) of Dy3ReB7 after structural relaxation.

```
data_Dy3ReB7
_cell_length_a 8.0979
_cell_length_b 8.0979
_cell_length_c 9.3636
_cell_angle_alpha 90.00
_cell_angle_beta 90.00
_cell_angle_gamma 154.75
_space_group_name_H-M_alt 'P 1'
_space_group_IT_number 1
loop_
_space_group_symop_operation_xyz
'x,y,z'
loop_
_atom_site_label
_atom_site_type_symbol
_atom_site_fract_x
_atom_site_fract_y
_atom_site_fract_z
Dy1 Dy 0.1054 0.8946 0.5599
Dy2 Dy 0.1054 0.8946 0.9401
Dy3 Dy 0.2422 0.7578 0.2500
Dy4 Dy 0.7578 0.2422 0.7500
Dy5 Dy 0.8946 0.1054 0.0599
Dy6 Dy 0.8946 0.1054 0.4401
Re1 Re 0.0532 0.9468 0.2500
Re2 Re 0.9468 0.0532 0.7500
B1 B 0.2731 0.7269 0.5334
B2 B 0.2731 0.7269 0.9666
B3 B 0.3680 0.6320 0.6505
B4 B 0.3680 0.6320 0.8495
B5 B 0.4572 0.5428 0.2500
B6 B 0.4795 0.5205 0.5953
B7 B 0.4795 0.5205 0.9047
B8 B 0.5205 0.4795 0.0953
B9 B 0.5205 0.4795 0.4047
B10 B 0.5428 0.4572 0.7500
B11 B 0.6320 0.3680 0.1505
B12 B 0.6320 0.3680 0.3495
B13 B 0.7269 0.2731 0.0334
B14 B 0.7269 0.2731 0.4666
```

Density, g cm⁻³: 9.502
Space-group type: Cmcm (63)
Total magnetization, μB/atom: 0.000
Total energy, eV/f.u.: -79.741

# 4
The following is a DFT calculation (GGA-PBE) of Dy2B6Rh9 after structural relaxation.

```
data_Dy2B6Rh9
_cell_length_a 5.6170
_cell_length_b 5.6170
_cell_length_c 8.5764
_cell_angle_alpha 90.00
_cell_angle_beta 90.00
_cell_angle_gamma 120.00
_space_group_name_H-M_alt 'P 1'
_space_group_IT_number 1
loop_
_space_group_symop_operation_xyz
'x,y,z'
loop_
_atom_site_label
_atom_site_type_symbol
_atom_site_fract_x
_atom_site_fract_y
_atom_site_fract_z
Dy1 Dy 0.0000 0.0000 0.2068
Dy2 Dy 0.0000 0.0000 0.7932
B1 B 0.3333 0.6667 0.1670
B2 B 0.3333 0.6667 0.5000
B3 B 0.3333 0.6667 0.8330
B4 B 0.6667 0.3333 0.1670
B5 B 0.6667 0.3333 0.5000
B6 B 0.6667 0.3333 0.8330
Rh1 Rh 0.0000 0.5000 0.0000
Rh2 Rh 0.0000 0.5000 0.3357
Rh3 Rh 0.0000 0.5000 0.6643
Rh4 Rh 0.5000 0.0000 0.0000
Rh5 Rh 0.5000 0.0000 0.3357
Rh6 Rh 0.5000 0.0000 0.6643
Rh7 Rh 0.5000 0.5000 0.0000
Rh8 Rh 0.5000 0.5000 0.3357
Rh9 Rh 0.5000 0.5000 0.6643
```

Density, g cm⁻³: 9.325
Space-group type: P6/mmm (191)
Total energy, eV/f.u.: -126.376

# 5
The following is a DFT calculation (GGA-PBE) of DyB4Rh after structural relaxation.

```
data_DyB4Rh
_cell_length_a 5.9702
_cell_length_b 11.5719
_cell_length_c 3.5759
_cell_angle_alpha 90.00
_cell_angle_beta 90.00
_cell_angle_gamma 90.00
_space_group_name_H-M_alt 'P 1'
_space_group_IT_number 1
loop_
_space_group_symop_operation_xyz
'x,y,z'
loop_
_atom_site_label
_atom_site_type_symbol
_atom_site_fract_x
_atom_site_fract_y
_atom_site_fract_z
Dy1 Dy 0.1292 0.1491 0.0000
Dy2 Dy 0.3708 0.6491 0.0000
Dy3 Dy 0.6292 0.3509 0.0000
Dy4 Dy 0.8708 0.8509 0.0000
B1 B 0.0245 0.6926 0.5000
B2 B 0.1128 0.5467 0.5000
B3 B 0.1364 0.9690 0.5000
B4 B 0.2129 0.8125 0.5000
B5 B 0.2871 0.3125 0.5000
B6 B 0.3636 0.4690 0.5000
B7 B 0.3872 0.0467 0.5000
B8 B 0.4755 0.1926 0.5000
B9 B 0.5245 0.8074 0.5000
B10 B 0.6128 0.9533 0.5000
B11 B 0.6364 0.5310 0.5000
B12 B 0.7129 0.6875 0.5000
B13 B 0.7871 0.1875 0.5000
B14 B 0.8636 0.0310 0.5000
B15 B 0.8872 0.4533 0.5000
B16 B 0.9755 0.3074 0.5000
Rh1 Rh 0.1412 0.4056 0.0000
Rh2 Rh 0.3588 0.9056 0.0000
Rh3 Rh 0.6412 0.0944 0.0000
Rh4 Rh 0.8588 0.5944 0.0000
```

Density, g cm⁻³: 8.298
Space-group type: Pbam (55)
Total energy, eV/f.u.: -42.358

# 6
The following is a DFT calculation (GGA-PBE) of DyB4Rh4 after structural relaxation.

```
data_DyB4Rh4
_cell_length_a 5.3426
_cell_length_b 5.3426
_cell_length_c 7.4625
_cell_angle_alpha 90.00
_cell_angle_beta 90.00
_cell_angle_gamma 90.00
_space_group_name_H-M_alt 'P 1'
_space_group_IT_number 1
loop_
_space_group_symop_operation_xyz
'x,y,z'
loop_
_atom_site_label
_atom_site_type_symbol
_atom_site_fract_x
_atom_site_fract_y
_atom_site_fract_z
Dy1 Dy 0.2500 0.7500 0.2500
Dy2 Dy 0.7500 0.2500 0.7500
B1 B 0.0811 0.2500 0.0984
B2 B 0.2500 0.0811 0.5984
B3 B 0.2500 0.4189 0.5984
B4 B 0.4189 0.2500 0.0984
B5 B 0.5811 0.7500 0.9016
B6 B 0.7500 0.5811 0.4016
B7 B 0.7500 0.9189 0.4016
B8 B 0.9189 0.7500 0.9016
Rh1 Rh 0.0008 0.7500 0.6056
Rh2 Rh 0.2500 0.5008 0.8944
Rh3 Rh 0.2500 0.9992 0.8944
Rh4 Rh 0.4992 0.7500 0.6056
Rh5 Rh 0.5008 0.2500 0.3944
Rh6 Rh 0.7500 0.0008 0.1056
Rh7 Rh 0.7500 0.4992 0.1056
Rh8 Rh 0.9992 0.2500 0.3944
```

Density, g cm⁻³: 9.626
Space-group type: P4_2/nmc (137)
Total magnetization, μB/atom: 0.000
Total energy, eV/f.u.: -65.991

# 7
The following is a DFT calculation (GGA-PBE) of Dy2B6Ru after structural relaxation.

```
data_Dy2B6Ru
_cell_length_a 9.1444
_cell_length_b 11.5105
_cell_length_c 3.6688
_cell_angle_alpha 90.00
_cell_angle_beta 90.00
_cell_angle_gamma 90.00
_space_group_name_H-M_alt 'P 1'
_space_group_IT_number 1
loop_
_space_group_symop_operation_xyz
'x,y,z'
loop_
_atom_site_label
_atom_site_type_symbol
_atom_site_fract_x
_atom_site_fract_y
_atom_site_fract_z
Dy1 Dy 0.0554 0.1278 0.0000
Dy2 Dy 0.1774 0.4143 0.0000
Dy3 Dy 0.3226 0.9143 0.0000
Dy4 Dy 0.4446 0.6278 0.0000
Dy5 Dy 0.5554 0.3722 0.0000
Dy6 Dy 0.6774 0.0857 0.0000
Dy7 Dy 0.8226 0.5857 0.0000
Dy8 Dy 0.9446 0.8722 0.0000
B1 B 0.0149 0.2875 0.5000
B2 B 0.0548 0.5670 0.5000
B3 B 0.1098 0.9698 0.5000
B4 B 0.1327 0.8148 0.5000
B5 B 0.2085 0.2335 0.5000
B6 B 0.2487 0.5800 0.5000
B7 B 0.2513 0.0800 0.5000
B8 B 0.2915 0.7335 0.5000
B9 B 0.3673 0.3148 0.5000
B10 B 0.3902 0.4698 0.5000
B11 B 0.4452 0.0670 0.5000
B12 B 0.4851 0.7875 0.5000
B13 B 0.5149 0.2125 0.5000
B14 B 0.5548 0.9330 0.5000
B15 B 0.6098 0.5302 0.5000
B16 B 0.6327 0.6852 0.5000
B17 B 0.7085 0.2665 0.5000
B18 B 0.7487 0.9200 0.5000
B19 B 0.7513 0.4200 0.5000
B20 B 0.7915 0.7665 0.5000
B21 B 0.8673 0.1852 0.5000
B22 B 0.8902 0.0302 0.5000
B23 B 0.9452 0.4330 0.5000
B24 B 0.9851 0.7125 0.5000
Ru1 Ru 0.1388 0.6788 0.0000
Ru2 Ru 0.3612 0.1788 0.0000
Ru3 Ru 0.6388 0.8212 0.0000
Ru4 Ru 0.8612 0.3212 0.0000
```

Density, g cm⁻³: 8.444
Space-group type: Pbam (55)
Total energy, eV/f.u.: -64.617

# 8
The following is a DFT calculation (GGA-PBE) of DyB4Ru after structural relaxation.

```
data_DyB4Ru
_cell_length_a 5.9638
_cell_length_b 11.5351
_cell_length_c 3.5586
_cell_angle_alpha 90.00
_cell_angle_beta 90.00
_cell_angle_gamma 90.00
_space_group_name_H-M_alt 'P 1'
_space_group_IT_number 1
loop_
_space_group_symop_operation_xyz
'x,y,z'
loop_
_atom_site_label
_atom_site_type_symbol
_atom_site_fract_x
_atom_site_fract_y
_atom_site_fract_z
Dy1 Dy 0.1289 0.1499 0.0000
Dy2 Dy 0.3711 0.6499 0.0000
Dy3 Dy 0.6289 0.3501 0.0000
Dy4 Dy 0.8711 0.8501 0.0000
B1 B 0.0237 0.6917 0.5000
B2 B 0.1121 0.5468 0.5000
B3 B 0.1360 0.9697 0.5000
B4 B 0.2109 0.8145 0.5000
B5 B 0.2891 0.3145 0.5000
B6 B 0.3640 0.4697 0.5000
B7 B 0.3879 0.0468 0.5000
B8 B 0.4763 0.1917 0.5000
B9 B 0.5237 0.8083 0.5000
B10 B 0.6121 0.9532 0.5000
B11 B 0.6360 0.5303 0.5000
B12 B 0.7109 0.6855 0.5000
B13 B 0.7891 0.1855 0.5000
B14 B 0.8640 0.0303 0.5000
B15 B 0.8879 0.4532 0.5000
B16 B 0.9763 0.3083 0.5000
Ru1 Ru 0.1405 0.4073 0.0000
Ru2 Ru 0.3595 0.9073 0.0000
Ru3 Ru 0.6405 0.0927 0.0000
Ru4 Ru 0.8595 0.5927 0.0000
```

Density, g cm⁻³: 8.325
Space-group type: Pbam (55)
Total energy, eV/f.u.: -44.411